Entry 1:
A plane-wave DFT calculation with PBE was carried out for Rb3Cu8Se6 after structural relaxation.

```
17
Lattice="9.316 -2.009 0.000 9.316 2.009 0.000 -2.831 0.000 9.898" Properties=species:S:1:pos:R:3 pbc="T T T"
Rb 0.000 0.000 0.000
Rb 2.636 0.000 3.024
Rb 13.166 0.000 6.874
Cu -1.386 0.000 6.346
Cu 1.152 0.000 9.128
Cu 6.628 0.000 2.166
Cu 6.504 0.000 4.650
Cu 9.298 0.000 5.248
Cu 9.173 0.000 7.731
Cu 14.649 0.000 0.770
Cu 17.188 0.000 3.552
Se 1.064 0.000 6.423
Se 3.569 0.000 9.695
Se 6.712 0.000 7.009
Se 9.090 0.000 2.889
Se 12.232 0.000 0.202
Se 14.737 0.000 3.475
```

## Properties
Formation energy from the elements = -617 meV/atom
E = -64.37 eV for the cell shown

Entry 2:
A plane-wave DFT calculation with PBE was carried out for Ba8SrB6N12 after structural relaxation.

```
27
Lattice="8.048 0.000 0.000 0.000 8.048 0.000 0.000 0.000 8.048" Properties=species:S:1:pos:R:3 pbc="T T T"
Ba 1.915 1.915 1.915
Ba 1.915 1.915 6.133
Ba 1.915 6.133 1.915
Ba 1.915 6.133 6.133
Ba 6.133 1.915 1.915
Ba 6.133 1.915 6.133
Ba 6.133 6.133 1.915
Ba 6.133 6.133 6.133
Sr 4.024 4.024 4.024
B 0.000 0.000 4.024
B 0.000 4.024 0.000
B 0.000 4.024 4.024
B 4.024 0.000 0.000
B 4.024 0.000 4.024
B 4.024 4.024 0.000
N 0.000 0.000 2.675
N 0.000 0.000 5.372
N 0.000 2.675 0.000
N 0.000 5.372 0.000
N 1.360 4.024 4.024
N 2.675 0.000 0.000
N 4.024 1.360 4.024
N 4.024 4.024 1.360
N 4.024 4.024 6.688
N 4.024 6.688 4.024
N 5.372 0.000 0.000
N 6.688 4.024 4.024
```

## Properties
Formation energy from the elements = -1183 meV/atom
E = -184.76 eV for the cell shown

Entry 3:
A plane-wave DFT calculation with PBE was carried out for NaTa4Si3P3O24 after structural relaxation.

```
105
Lattice="8.826 0.000 0.000 -4.411 7.645 0.000 -0.055 -0.062 22.800" Properties=species:S:1:pos:R:3 pbc="T T T"
Na 0.000 0.000 0.000
Na -0.005 -0.024 11.300
Na 0.015 5.080 3.722
Ta 8.772 -0.042 19.469
Ta -0.013 -0.018 14.623
Ta 0.008 0.028 8.000
Ta -0.062 5.090 11.905
Ta -0.062 5.079 18.444
Ta 0.011 5.136 0.460
Ta 0.003 5.122 7.034
Ta 4.351 2.547 10.789
Ta 4.406 2.573 4.285
Ta 4.375 2.554 15.648
Ta 4.417 2.532 22.198
Ta 8.769 0.029 3.230
Si -2.561 5.058 20.837
Si 1.261 2.201 5.629
Si -1.296 7.272 9.452
Si 1.875 2.538 13.233
Si 1.199 7.247 20.845
Si 3.161 4.742 1.842
Si 6.280 0.006 5.641
Si 5.634 4.700 13.241
Si 6.936 2.575 1.845
P -1.295 2.153 17.041
P -3.156 5.471 5.635
P -1.274 2.906 9.454
P 2.490 -0.026 17.043
P 1.213 2.888 20.836
P 3.151 0.393 1.839
P 2.498 5.107 9.453
P 5.641 0.370 13.237
P 3.111 5.432 17.041
O -0.650 1.488 9.289
O -0.660 1.476 15.802
O -3.493 6.392 20.598
O -3.364 6.350 4.397
O -1.009 3.758 8.207
O -1.622 4.841 19.512
O -1.595 4.885 13.019
O -0.931 3.883 1.651
O -2.917 7.428 9.296
O -1.628 5.294 5.845
O 0.582 1.485 4.338
O -0.655 3.533 17.246
O -0.615 3.552 10.698
O -2.833 7.401 15.801
O 0.568 1.481 20.603
O -1.627 5.310 22.136
O 0.901 1.232 13.474
O 0.976 1.264 6.953
O 1.626 0.197 2.019
O 1.591 0.196 18.270
O 0.536 3.503 22.074
O 0.558 3.655 5.855
O -0.995 6.331 10.748
O -1.045 6.364 17.236
O -0.640 6.557 8.144
O 0.950 3.746 19.573
O -0.615 6.625 1.672
O 0.952 3.836 12.978
O 3.385 1.240 0.582
O 3.396 1.194 16.813
O 2.817 2.263 11.940
O 2.848 2.355 5.420
O 2.710 2.700 21.043
O 3.785 1.019 3.093
O 1.542 4.931 1.664
O 0.587 6.510 19.514
O 2.811 2.719 14.559
O 3.807 1.085 9.677
O 1.625 4.873 8.198
O 0.633 6.613 13.018
O 0.929 6.319 5.833
O 1.605 5.254 17.255
O 0.992 6.287 22.134
O 1.615 5.316 10.691
O 4.925 1.039 21.052
O 3.410 3.826 3.157
O 5.016 1.000 14.501
O 3.390 3.854 9.645
O 5.357 1.298 5.405
O 3.792 4.033 0.520
O 3.762 4.043 16.837
O 5.442 1.251 11.999
O 3.375 6.321 15.805
O 3.409 6.341 9.277
O 2.828 7.379 4.344
O 2.821 7.434 20.598
O 4.966 4.024 11.935
O 7.177 0.195 13.467
O 6.010 2.322 0.523
O 7.223 0.187 6.963
O 3.761 6.106 18.275
O 6.013 2.287 16.823
O 5.037 4.086 5.456
O 3.860 6.211 2.006
O 5.302 3.777 21.033
O 5.367 3.779 14.564
O 6.009 2.784 3.153
O 6.038 2.750 9.680
O 4.963 6.181 13.477
O 7.794 1.262 18.271
O 5.048 6.127 6.899
O 7.903 1.255 1.996
```

## Properties
Formation energy from the elements = -3138 meV/atom
E = -880.04 eV for the cell shown

Entry 4:
A plane-wave DFT calculation with PBE was carried out for NpAl8Cr4 after structural relaxation.

```
13
Lattice="-4.393 4.393 2.484 4.393 -4.393 2.484 4.393 4.393 -2.484" Properties=species:S:1:pos:R:3 pbc="T T T"
Np 0.000 0.000 0.000
Al 2.986 0.000 0.000
Al 5.800 0.000 0.000
Al 4.393 2.486 0.000
Al 0.000 2.986 0.000
Al 2.486 4.393 0.000
Al 1.907 0.000 2.484
Al 0.000 5.800 0.000
Al 0.000 1.907 2.484
Cr 2.197 2.197 -1.242
Cr 2.197 -2.197 1.242
Cr -2.197 2.197 1.242
Cr 2.197 2.197 1.242
```

## Properties
Formation energy from the elements = -43 meV/atom
E = -82.08 eV for the cell shown